# GGA-PBE CdPdF4, optimized geometry
data_CdPdF4
_chemical_formula_sum 'Cd2 Pd2 F8'
_space_group_name_H-M_alt 'P 1'
_space_group_IT_number 1
_cell_length_a 5.539
_cell_length_b 5.515
_cell_length_c 5.518
_cell_angle_alpha 90.00
_cell_angle_beta 91.08
_cell_angle_gamma 90.00
loop_
_space_group_symop_operation_xyz
'x,y,z'
loop_
_atom_site_label
_atom_site_type_symbol
_atom_site_fract_x
_atom_site_fract_y
_atom_site_fract_z
Cd1 Cd 0.000 0.000 0.000
Cd2 Cd 0.000 0.500 0.500
Pd1 Pd 0.500 0.000 0.500
Pd2 Pd 0.500 0.500 0.000
F1 F 0.167 0.160 0.342
F2 F 0.167 0.340 0.842
F3 F 0.339 0.669 0.328
F4 F 0.339 0.831 0.828
F5 F 0.661 0.169 0.172
F6 F 0.661 0.331 0.672
F7 F 0.833 0.660 0.158
F8 F 0.833 0.840 0.658
# Energy of formation ... -1905.4 meV per atom
# Theoretical density ... 5.81 Mg/m³

---

# GGA-PBE RbCdF3, optimized geometry
data_RbCdF3
_chemical_formula_sum 'Rb1 Cd1 F3'
_space_group_name_H-M_alt 'P 1'
_space_group_IT_number 1
_cell_length_a 4.503
_cell_length_b 4.503
_cell_length_c 4.503
_cell_angle_alpha 90.00
_cell_angle_beta 90.00
_cell_angle_gamma 90.00
loop_
_space_group_symop_operation_xyz
'x,y,z'
loop_
_atom_site_label
_atom_site_type_symbol
_atom_site_fract_x
_atom_site_fract_y
_atom_site_fract_z
Rb1 Rb 0.000 0.000 0.000
Cd1 Cd 0.500 0.500 0.500
F1 F 0.000 0.500 0.500
F2 F 0.500 0.000 0.500
F3 F 0.500 0.500 0.000
# Energy of formation ... -2703.9 meV per atom
# Theoretical density ... 4.64 Mg/m³

---

# GGA-PBE CdRh3F6, optimized geometry
data_CdRh3F6
_chemical_formula_sum 'Cd1 Rh3 F6'
_space_group_name_H-M_alt 'P 1'
_space_group_IT_number 1
_cell_length_a 4.764
_cell_length_b 6.730
_cell_length_c 13.870
_cell_angle_alpha 98.53
_cell_angle_beta 93.58
_cell_angle_gamma 101.93
loop_
_space_group_symop_operation_xyz
'x,y,z'
loop_
_atom_site_label
_atom_site_type_symbol
_atom_site_fract_x
_atom_site_fract_y
_atom_site_fract_z
Cd1 Cd 0.000 0.000 0.000
Rh1 Rh 0.000 0.000 0.500
Rh2 Rh 0.000 0.500 0.000
Rh3 Rh 0.500 0.500 0.000
F1 F 0.041 0.715 0.911
F2 F 0.068 0.067 0.637
F3 F 0.413 0.188 0.974
F4 F 0.587 0.812 0.026
F5 F 0.932 0.933 0.363
F6 F 0.959 0.285 0.089
# Energy of formation ... -1044.0 meV per atom
# Theoretical density ... 2.07 Mg/m³

---

# GGA-PBE CdRhF6, optimized geometry
data_CdRhF6
_chemical_formula_sum 'Cd1 Rh1 F6'
_space_group_name_H-M_alt 'P 1'
_space_group_IT_number 1
_cell_length_a 5.752
_cell_length_b 5.752
_cell_length_c 5.752
_cell_angle_alpha 54.66
_cell_angle_beta 54.66
_cell_angle_gamma 54.66
loop_
_space_group_symop_operation_xyz
'x,y,z'
loop_
_atom_site_label
_atom_site_type_symbol
_atom_site_fract_x
_atom_site_fract_y
_atom_site_fract_z
Cd1 Cd 0.000 0.000 0.000
Rh1 Rh 0.500 0.500 0.500
F1 F 0.121 0.424 0.722
F2 F 0.278 0.879 0.576
F3 F 0.424 0.722 0.121
F4 F 0.576 0.278 0.879
F5 F 0.722 0.121 0.424
F6 F 0.879 0.576 0.278
# Energy of formation ... -2075.1 meV per atom
# Theoretical density ... 4.64 Mg/m³

---

# GGA-PBE Cd4SF6, optimized geometry
data_Cd4SF6
_chemical_formula_sum 'Cd4 S1 F6'
_space_group_name_H-M_alt 'P 1'
_space_group_IT_number 1
_cell_length_a 12.812
_cell_length_b 12.812
_cell_length_c 12.812
_cell_angle_alpha 17.52
_cell_angle_beta 17.52
_cell_angle_gamma 17.52
loop_
_space_group_symop_operation_xyz
'x,y,z'
loop_
_atom_site_label
_atom_site_type_symbol
_atom_site_fract_x
_atom_site_fract_y
_atom_site_fract_z
Cd1 Cd 0.126 0.126 0.126
Cd2 Cd 0.292 0.292 0.292
Cd3 Cd 0.708 0.708 0.708
Cd4 Cd 0.874 0.874 0.874
S1 S 0.500 0.500 0.500
F1 F 0.063 0.063 0.063
F2 F 0.230 0.230 0.230
F3 F 0.354 0.354 0.354
F4 F 0.646 0.646 0.646
F5 F 0.770 0.770 0.770
F6 F 0.937 0.937 0.937
# ΔE to the lowest computed polymorph ... 19.3 meV per atom
# Energy of formation ... -2161.0 meV per atom
# Theoretical density ... 5.94 Mg/m³

---

# GGA-PBE Cd4SF6, optimized geometry
data_Cd4SF6
_chemical_formula_sum 'Cd8 S2 F12'
_space_group_name_H-M_alt 'P 1'
_space_group_IT_number 1
_cell_length_a 8.005
_cell_length_b 8.005
_cell_length_c 5.611
_cell_angle_alpha 90.00
_cell_angle_beta 90.00
_cell_angle_gamma 90.00
loop_
_space_group_symop_operation_xyz
'x,y,z'
loop_
_atom_site_label
_atom_site_type_symbol
_atom_site_fract_x
_atom_site_fract_y
_atom_site_fract_z
Cd1 Cd 0.014 0.250 0.017
Cd2 Cd 0.250 0.014 0.517
Cd3 Cd 0.250 0.486 0.517
Cd4 Cd 0.486 0.250 0.017
Cd5 Cd 0.514 0.750 0.983
Cd6 Cd 0.750 0.514 0.483
Cd7 Cd 0.750 0.986 0.483
Cd8 Cd 0.986 0.750 0.983
S1 S 0.250 0.750 0.750
S2 S 0.750 0.250 0.250
F1 F 0.036 0.536 0.250
F2 F 0.036 0.964 0.250
F3 F 0.250 0.250 0.278
F4 F 0.250 0.250 0.778
F5 F 0.464 0.536 0.250
F6 F 0.464 0.964 0.250
F7 F 0.536 0.036 0.750
F8 F 0.536 0.464 0.750
F9 F 0.750 0.750 0.222
F10 F 0.750 0.750 0.722
F11 F 0.964 0.036 0.750
F12 F 0.964 0.464 0.750
# ΔE to the lowest computed polymorph ... 0.0 meV per atom
# Energy of formation ... -2180.2 meV per atom
# Theoretical density ... 5.50 Mg/m³

---

# GGA-PBE Mg14CdFe, optimized geometry
data_Mg14CdFe
_chemical_formula_sum 'Mg14 Cd1 Fe1'
_space_group_name_H-M_alt 'P 1'
_space_group_IT_number 1
_cell_length_a 9.903
_cell_length_b 6.274
_cell_length_c 6.274
_cell_angle_alpha 60.30
_cell_angle_beta 90.00
_cell_angle_gamma 90.00
loop_
_space_group_symop_operation_xyz
'x,y,z'
loop_
_atom_site_label
_atom_site_type_symbol
_atom_site_fract_x
_atom_site_fract_y
_atom_site_fract_z
Mg1 Mg 0.000 0.000 0.000
Mg2 Mg 0.000 0.004 0.499
Mg3 Mg 0.000 0.498 0.498
Mg4 Mg 0.000 0.499 0.004
Mg5 Mg 0.248 0.667 0.667
Mg6 Mg 0.262 0.160 0.160
Mg7 Mg 0.266 0.161 0.682
Mg8 Mg 0.266 0.682 0.161
Mg9 Mg 0.500 0.499 0.997
Mg10 Mg 0.500 0.997 0.499
Mg11 Mg 0.734 0.161 0.682
Mg12 Mg 0.734 0.682 0.161
Mg13 Mg 0.738 0.160 0.160
Mg14 Mg 0.752 0.667 0.667
Cd1 Cd 0.500 0.503 0.503
Fe1 Fe 0.500 0.001 0.001
# ΔE to the lowest computed polymorph ... 6.1 meV per atom
# Energy of formation ... 97.5 meV per atom
# Theoretical density ... 2.49 Mg/m³

---

# GGA-PBE Mg6CdFe, optimized geometry
data_Mg6CdFe
_chemical_formula_sum 'Mg12 Cd2 Fe2'
_space_group_name_H-M_alt 'P 1'
_space_group_IT_number 1
_cell_length_a 4.861
_cell_length_b 6.148
_cell_length_c 10.594
_cell_angle_alpha 90.00
_cell_angle_beta 90.00
_cell_angle_gamma 90.00
loop_
_space_group_symop_operation_xyz
'x,y,z'
loop_
_atom_site_label
_atom_site_type_symbol
_atom_site_fract_x
_atom_site_fract_y
_atom_site_fract_z
Mg1 Mg 0.500 0.252 0.083
Mg2 Mg 0.500 0.748 0.083
Mg3 Mg 0.000 0.236 0.912
Mg4 Mg 0.000 0.764 0.912
Mg5 Mg 0.000 0.500 0.176
Mg6 Mg 0.000 0.500 0.667
Mg7 Mg 0.500 0.752 0.583
Mg8 Mg 0.500 0.248 0.583
Mg9 Mg 0.000 0.736 0.412
Mg10 Mg 0.000 0.264 0.412
Mg11 Mg 0.000 0.000 0.676
Mg12 Mg 0.000 0.000 0.167
Cd1 Cd 0.500 0.500 0.834
Cd2 Cd 0.500 0.000 0.334
Fe1 Fe 0.500 0.500 0.332
Fe2 Fe 0.500 0.000 0.832
# ΔE to the lowest computed polymorph ... 0.0 meV per atom
# Energy of formation ... 115.4 meV per atom
# Theoretical density ... 3.29 Mg/m³

---

# GGA-PBE Mg14CdFe, optimized geometry
data_Mg14CdFe
_chemical_formula_sum 'Mg14 Cd1 Fe1'
_space_group_name_H-M_alt 'P 1'
_space_group_IT_number 1
_cell_length_a 6.288
_cell_length_b 6.288
_cell_length_c 9.912
_cell_angle_alpha 90.00
_cell_angle_beta 90.00
_cell_angle_gamma 120.00
loop_
_space_group_symop_operation_xyz
'x,y,z'
loop_
_atom_site_label
_atom_site_type_symbol
_atom_site_fract_x
_atom_site_fract_y
_atom_site_fract_z
Mg1 Mg 0.000 0.000 0.248
Mg2 Mg 0.000 0.000 0.752
Mg3 Mg 0.015 0.507 0.262
Mg4 Mg 0.015 0.507 0.738
Mg5 Mg 0.331 0.165 0.500
Mg6 Mg 0.336 0.168 0.000
Mg7 Mg 0.493 0.507 0.262
Mg8 Mg 0.493 0.507 0.738
Mg9 Mg 0.493 0.985 0.262
Mg10 Mg 0.493 0.985 0.738
Mg11 Mg 0.832 0.168 0.000
Mg12 Mg 0.832 0.664 0.000
Mg13 Mg 0.835 0.165 0.500
Mg14 Mg 0.835 0.669 0.500
Cd1 Cd 0.333 0.667 0.000
Fe1 Fe 0.333 0.667 0.500
# ΔE to the lowest computed polymorph ... 0.0 meV per atom
# Energy of formation ... 91.4 meV per atom
# Theoretical density ... 2.49 Mg/m³

---

> The highest energy of formation belongs to which entry?

Mg6CdFe

---

> Which of these has the highest energy of formation?

Mg6CdFe